GGA-PBE BaRe2H12C3N6O11, optimized geometry; total energy after the MP2020 corrections = -0.2544 hartree per atom; SG = No. 14; energy of formation = -1.219 eV per atom; calculated volume = 1678 Å³ per cell
1.0
13.945 0.000 0.000
0.000 7.992 0.000
-1.290 0.000 15.055
Ba Re H C N O
4 8 48 12 24 44
Direct
0.124 0.115 0.416
0.124 0.385 0.916
0.876 0.615 0.084
0.876 0.885 0.584
0.015 0.129 0.132
0.015 0.371 0.632
0.370 0.066 0.911
0.370 0.434 0.411
0.630 0.566 0.589
0.630 0.934 0.089
0.985 0.629 0.368
0.985 0.871 0.868
0.142 0.016 0.739
0.142 0.484 0.239
0.167 0.711 0.526
0.167 0.789 0.026
0.225 0.647 0.246
0.225 0.853 0.746
0.242 0.221 0.209
0.242 0.279 0.709
0.245 0.684 0.621
0.245 0.816 0.121
0.324 0.157 0.136
0.324 0.343 0.636
0.350 0.599 0.926
0.350 0.901 0.426
0.393 0.097 0.675
0.393 0.403 0.175
0.396 0.703 0.761
0.396 0.797 0.261
0.417 0.581 0.668
0.417 0.919 0.168
0.442 0.676 0.002
0.442 0.824 0.502
0.469 0.560 0.140
0.469 0.940 0.640
0.531 0.060 0.360
0.531 0.440 0.860
0.558 0.176 0.498
0.558 0.324 0.998
0.583 0.081 0.832
0.583 0.419 0.332
0.604 0.203 0.739
0.604 0.297 0.239
0.607 0.597 0.825
0.607 0.903 0.325
0.650 0.099 0.574
0.650 0.401 0.074
0.676 0.657 0.364
0.676 0.843 0.864
0.755 0.184 0.879
0.755 0.316 0.379
0.758 0.721 0.291
0.758 0.779 0.791
0.775 0.147 0.254
0.775 0.353 0.754
0.833 0.211 0.974
0.833 0.289 0.474
0.858 0.516 0.761
0.858 0.984 0.261
0.144 0.625 0.126
0.144 0.875 0.626
0.314 0.009 0.248
0.314 0.491 0.748
0.359 0.014 0.548
0.359 0.486 0.048
0.641 0.514 0.952
0.641 0.986 0.452
0.686 0.509 0.252
0.686 0.991 0.752
0.856 0.125 0.374
0.856 0.375 0.874
0.173 0.582 0.210
0.173 0.918 0.710
0.188 0.744 0.589
0.188 0.756 0.089
0.301 0.152 0.199
0.301 0.348 0.699
0.379 0.603 0.721
0.379 0.897 0.221
0.385 0.598 0.988
0.385 0.902 0.488
0.412 0.017 0.628
0.412 0.483 0.128
0.588 0.517 0.872
0.588 0.983 0.372
0.615 0.098 0.512
0.615 0.402 0.012
0.621 0.103 0.779
0.621 0.397 0.279
0.699 0.652 0.301
0.699 0.848 0.801
0.812 0.244 0.911
0.812 0.256 0.411
0.827 0.082 0.290
0.827 0.418 0.790
0.023 0.079 0.859
0.023 0.421 0.359
0.076 0.545 0.082
0.076 0.955 0.582
0.079 0.188 0.232
0.079 0.312 0.732
0.087 0.743 0.893
0.087 0.757 0.393
0.091 0.140 0.046
0.091 0.360 0.546
0.249 0.118 0.879
0.249 0.382 0.379
0.269 0.521 0.815
0.269 0.979 0.315
0.288 0.113 0.532
0.288 0.387 0.032
0.383 0.013 0.024
0.383 0.487 0.524
0.402 0.605 0.347
0.402 0.895 0.847
0.446 0.234 0.891
0.446 0.266 0.391
0.554 0.734 0.609
0.554 0.766 0.109
0.598 0.105 0.153
0.598 0.395 0.653
0.617 0.513 0.476
0.617 0.987 0.976
0.712 0.613 0.968
0.712 0.887 0.468
0.731 0.021 0.685
0.731 0.479 0.185
0.751 0.618 0.621
0.751 0.882 0.121
0.909 0.640 0.454
0.909 0.860 0.954
0.913 0.243 0.607
0.913 0.257 0.107
0.921 0.688 0.268
0.921 0.812 0.768
0.924 0.045 0.418
0.924 0.455 0.918
0.977 0.579 0.641
0.977 0.921 0.141


GGA-PBE Zr2P3H3O13, optimized geometry; total energy after the MP2020 corrections = -0.2907 hartree per atom; SG = No. 1; energy of formation = -2.776 eV per atom; calculated volume = 549 Å³ per cell
1.0
8.889 0.000 0.000
4.403 7.736 0.000
4.388 2.452 7.987
Zr P H O
4 6 6 26
Direct
0.000 0.000 0.000
0.200 0.215 0.391
0.495 0.509 0.500
0.702 0.706 0.890
0.105 0.387 0.704
0.316 0.893 0.197
0.389 0.828 0.690
0.601 0.321 0.193
0.815 0.104 0.693
0.888 0.607 0.198
0.288 0.369 0.927
0.412 0.323 0.046
0.512 0.311 0.834
0.808 0.842 0.413
0.846 0.897 0.540
0.999 0.881 0.337
0.057 0.437 0.227
0.094 0.214 0.852
0.122 0.367 0.543
0.136 0.925 0.175
0.222 0.848 0.848
0.272 0.422 0.676
0.285 0.054 0.240
0.347 0.719 0.345
0.359 0.002 0.542
0.400 0.362 0.930
0.418 0.670 0.641
0.433 0.289 0.213
0.475 0.873 0.035
0.559 0.787 0.727
0.577 0.341 0.356
0.611 0.493 0.045
0.641 0.277 0.674
0.722 0.584 0.354
0.774 0.157 0.152
0.786 0.938 0.707
0.842 0.073 0.855
0.855 0.632 0.041
0.899 0.840 0.445
0.916 0.778 0.172
0.930 0.547 0.749
0.978 0.130 0.538


GGA-PBE Si2Mo, optimized geometry; SG = No. 139; energy of formation = -0.498 eV per atom; calculated volume = 82 Å³ per cell
1.0
3.220 0.000 0.000
0.000 3.220 0.000
0.000 0.000 7.869
Si Mo
4 2
Direct
0.000 0.000 0.165
0.000 0.000 0.835
0.500 0.500 0.335
0.500 0.500 0.665
0.000 0.000 0.500
0.500 0.500 0.000


GGA-PBE Sr3NdTaAl3O12, optimized geometry; total energy after the MP2020 corrections = -0.2943 hartree per atom; SG = No. 1; energy of formation = -3.393 eV per atom; calculated volume = 467 Å³ per cell; energy relative to the lowest polymorph listed for this composition = 0.00 eV/f.u.
1.0
5.476 0.000 0.000
0.015 9.510 0.000
0.011 3.161 8.973
Sr Nd Ta Al O
6 2 2 6 24
Direct
0.000 0.000 0.000
0.001 0.512 0.473
0.003 0.259 0.256
0.004 0.782 0.745
0.500 0.774 0.233
0.503 0.024 0.485
0.502 0.237 0.733
0.502 0.526 0.016
0.002 0.381 0.874
0.500 0.645 0.608
0.001 0.644 0.119
0.003 0.135 0.616
0.004 0.895 0.364
0.502 0.387 0.367
0.502 0.888 0.872
0.506 0.138 0.122
0.003 0.021 0.487
0.003 0.761 0.248
0.006 0.244 0.756
0.213 0.519 0.717
0.243 0.022 0.233
0.251 0.509 0.233
0.257 0.011 0.741
0.259 0.761 0.998
0.260 0.267 0.505
0.263 0.782 0.485
0.292 0.286 0.985
0.502 0.028 0.982
0.502 0.262 0.247
0.503 0.523 0.476
0.503 0.746 0.761
0.706 0.481 0.751
0.742 0.006 0.248
0.743 0.014 0.739
0.747 0.511 0.231
0.748 0.765 0.996
0.750 0.269 0.503
0.771 0.256 0.014
0.776 0.761 0.504
0.998 0.529 0.980


GGA-PBE Sm4Br6O, optimized geometry; total energy after the MP2020 corrections = -0.1775 hartree per atom; SG = No. 186; energy of formation = -1.771 eV per atom; calculated volume = 615 Å³ per cell
1.0
9.349 0.000 0.000
-4.674 8.096 0.000
0.000 0.000 8.127
Sm Br O
8 12 2
Direct
0.195 0.390 0.000
0.195 0.805 0.000
0.333 0.667 0.311
0.390 0.195 0.500
0.610 0.805 0.000
0.667 0.333 0.811
0.805 0.195 0.500
0.805 0.610 0.500
0.034 0.517 0.681
0.135 0.270 0.366
0.135 0.865 0.366
0.270 0.135 0.866
0.483 0.517 0.681
0.483 0.966 0.681
0.517 0.034 0.181
0.517 0.483 0.181
0.730 0.865 0.366
0.865 0.135 0.866
0.865 0.730 0.866
0.966 0.483 0.181
0.333 0.667 0.017
0.667 0.333 0.517


GGA-PBE RbTiAsO5, optimized geometry; total energy after the MP2020 corrections = -0.2699 hartree per atom; SG = No. 33; energy of formation = -2.559 eV per atom; calculated volume = 999 Å³ per cell
1.0
13.482 0.000 0.000
0.000 6.792 0.000
0.000 0.000 10.913
Rb Ti As O
8 8 8 40
Direct
0.110 0.194 0.000
0.118 0.782 0.249
0.382 0.282 0.749
0.390 0.694 0.500
0.610 0.306 0.000
0.618 0.718 0.249
0.882 0.218 0.749
0.890 0.806 0.500
0.128 0.505 0.571
0.248 0.766 0.822
0.252 0.266 0.322
0.372 0.005 0.071
0.628 0.995 0.571
0.748 0.734 0.822
0.752 0.234 0.322
0.872 0.495 0.071
0.000 0.331 0.316
0.000 0.669 0.816
0.179 0.007 0.563
0.321 0.507 0.063
0.500 0.169 0.316
0.500 0.831 0.816
0.679 0.493 0.563
0.821 0.993 0.063
0.011 0.535 0.681
0.013 0.495 0.432
0.101 0.821 0.839
0.105 0.188 0.293
0.107 0.207 0.596
0.109 0.804 0.526
0.217 0.446 0.436
0.218 0.563 0.685
0.242 0.544 0.939
0.243 0.462 0.185
0.257 0.962 0.685
0.258 0.044 0.439
0.282 0.063 0.185
0.283 0.946 0.936
0.391 0.304 0.026
0.393 0.707 0.096
0.395 0.688 0.793
0.399 0.321 0.339
0.487 0.995 0.932
0.489 0.035 0.181
0.511 0.965 0.681
0.513 0.005 0.432
0.601 0.679 0.839
0.605 0.312 0.293
0.607 0.293 0.596
0.609 0.696 0.526
0.717 0.054 0.436
0.718 0.937 0.685
0.742 0.956 0.939
0.743 0.038 0.185
0.757 0.538 0.685
0.758 0.456 0.439
0.782 0.437 0.185
0.783 0.554 0.936
0.891 0.196 0.026
0.893 0.793 0.096
0.895 0.812 0.793
0.899 0.179 0.339
0.987 0.505 0.932
0.989 0.465 0.181


Question: What is the energy of formation in the fourth record?
Answer: -3.393 eV per atom


Please write out number 6 again, unchanged.
GGA-PBE RbTiAsO5, optimized geometry; total energy after the MP2020 corrections = -0.2699 hartree per atom; SG = No. 33; energy of formation = -2.559 eV per atom; calculated volume = 999 Å³ per cell
1.0
13.482 0.000 0.000
0.000 6.792 0.000
0.000 0.000 10.913
Rb Ti As O
8 8 8 40
Direct
0.110 0.194 0.000
0.118 0.782 0.249
0.382 0.282 0.749
0.390 0.694 0.500
0.610 0.306 0.000
0.618 0.718 0.249
0.882 0.218 0.749
0.890 0.806 0.500
0.128 0.505 0.571
0.248 0.766 0.822
0.252 0.266 0.322
0.372 0.005 0.071
0.628 0.995 0.571
0.748 0.734 0.822
0.752 0.234 0.322
0.872 0.495 0.071
0.000 0.331 0.316
0.000 0.669 0.816
0.179 0.007 0.563
0.321 0.507 0.063
0.500 0.169 0.316
0.500 0.831 0.816
0.679 0.493 0.563
0.821 0.993 0.063
0.011 0.535 0.681
0.013 0.495 0.432
0.101 0.821 0.839
0.105 0.188 0.293
0.107 0.207 0.596
0.109 0.804 0.526
0.217 0.446 0.436
0.218 0.563 0.685
0.242 0.544 0.939
0.243 0.462 0.185
0.257 0.962 0.685
0.258 0.044 0.439
0.282 0.063 0.185
0.283 0.946 0.936
0.391 0.304 0.026
0.393 0.707 0.096
0.395 0.688 0.793
0.399 0.321 0.339
0.487 0.995 0.932
0.489 0.035 0.181
0.511 0.965 0.681
0.513 0.005 0.432
0.601 0.679 0.839
0.605 0.312 0.293
0.607 0.293 0.596
0.609 0.696 0.526
0.717 0.054 0.436
0.718 0.937 0.685
0.742 0.956 0.939
0.743 0.038 0.185
0.757 0.538 0.685
0.758 0.456 0.439
0.782 0.437 0.185
0.783 0.554 0.936
0.891 0.196 0.026
0.893 0.793 0.096
0.895 0.812 0.793
0.899 0.179 0.339
0.987 0.505 0.932
0.989 0.465 0.181


Please write out number 6 again, unchanged.
GGA-PBE RbTiAsO5, optimized geometry; total energy after the MP2020 corrections = -0.2699 hartree per atom; SG = No. 33; energy of formation = -2.559 eV per atom; calculated volume = 999 Å³ per cell
1.0
13.482 0.000 0.000
0.000 6.792 0.000
0.000 0.000 10.913
Rb Ti As O
8 8 8 40
Direct
0.110 0.194 0.000
0.118 0.782 0.249
0.382 0.282 0.749
0.390 0.694 0.500
0.610 0.306 0.000
0.618 0.718 0.249
0.882 0.218 0.749
0.890 0.806 0.500
0.128 0.505 0.571
0.248 0.766 0.822
0.252 0.266 0.322
0.372 0.005 0.071
0.628 0.995 0.571
0.748 0.734 0.822
0.752 0.234 0.322
0.872 0.495 0.071
0.000 0.331 0.316
0.000 0.669 0.816
0.179 0.007 0.563
0.321 0.507 0.063
0.500 0.169 0.316
0.500 0.831 0.816
0.679 0.493 0.563
0.821 0.993 0.063
0.011 0.535 0.681
0.013 0.495 0.432
0.101 0.821 0.839
0.105 0.188 0.293
0.107 0.207 0.596
0.109 0.804 0.526
0.217 0.446 0.436
0.218 0.563 0.685
0.242 0.544 0.939
0.243 0.462 0.185
0.257 0.962 0.685
0.258 0.044 0.439
0.282 0.063 0.185
0.283 0.946 0.936
0.391 0.304 0.026
0.393 0.707 0.096
0.395 0.688 0.793
0.399 0.321 0.339
0.487 0.995 0.932
0.489 0.035 0.181
0.511 0.965 0.681
0.513 0.005 0.432
0.601 0.679 0.839
0.605 0.312 0.293
0.607 0.293 0.596
0.609 0.696 0.526
0.717 0.054 0.436
0.718 0.937 0.685
0.742 0.956 0.939
0.743 0.038 0.185
0.757 0.538 0.685
0.758 0.456 0.439
0.782 0.437 0.185
0.783 0.554 0.936
0.891 0.196 0.026
0.893 0.793 0.096
0.895 0.812 0.793
0.899 0.179 0.339
0.987 0.505 0.932
0.989 0.465 0.181


Question: energy of formation of number 4 (Sr3NdTaAl3O12)?
Answer: -3.393 eV per atom